Record 1
A plane-wave DFT calculation with r2SCAN was carried out for crystalline Ca3In4Ni8 at its relaxed geometry.

abc: 8.927 8.927 7.466
angles: 90.00 90.00 120.00
Fractional positions:
Ca  0.059  0.529  0.000
Ca  0.471  0.529  0.000
Ca  0.471  0.941  0.000
Ca  0.529  0.059  0.500
Ca  0.529  0.471  0.500
Ca  0.941  0.471  0.500
In  0.169  0.338  0.697
In  0.169  0.831  0.697
In  0.333  0.667  0.341
In  0.338  0.169  0.197
In  0.662  0.831  0.697
In  0.667  0.333  0.841
In  0.831  0.169  0.197
In  0.831  0.662  0.197
Ni  0.000  0.000  0.268
Ni  0.000  0.000  0.768
Ni  0.097  0.194  0.016
Ni  0.097  0.903  0.016
Ni  0.159  0.318  0.328
Ni  0.159  0.841  0.328
Ni  0.194  0.097  0.516
Ni  0.318  0.159  0.828
Ni  0.333  0.667  0.693
Ni  0.667  0.333  0.193
Ni  0.682  0.841  0.328
Ni  0.806  0.903  0.016
Ni  0.841  0.159  0.828
Ni  0.841  0.682  0.828
Ni  0.903  0.097  0.516
Ni  0.903  0.806  0.516

Results
Space-group type ... No. 186

Record 2
A plane-wave DFT calculation with r2SCAN was carried out for crystalline Na2CO3 at its relaxed geometry.

abc: 5.123 5.123 5.924
angles: 101.32 101.32 61.97
Fractional positions:
Na  0.000  0.000  0.000
Na  0.000  0.000  0.500
Na  0.331  0.331  0.759
Na  0.669  0.669  0.241
C  0.336  0.336  0.251
C  0.664  0.664  0.749
O  0.187  0.611  0.209
O  0.212  0.212  0.333
O  0.389  0.813  0.791
O  0.611  0.187  0.209
O  0.788  0.788  0.667
O  0.813  0.389  0.791

Results
Space-group type ... No. 12

Record 3
A plane-wave DFT calculation with r2SCAN was carried out for crystalline Na3P11 at its relaxed geometry.

abc: 9.808 12.451 10.448
angles: 90.00 90.00 90.00
Fractional positions:
Na  0.000  0.246  0.250
Na  0.000  0.754  0.750
Na  0.244  0.495  0.578
Na  0.244  0.505  0.078
Na  0.256  0.005  0.078
Na  0.256  0.995  0.578
Na  0.500  0.254  0.750
Na  0.500  0.746  0.250
Na  0.744  0.005  0.422
Na  0.744  0.995  0.922
Na  0.756  0.495  0.922
Na  0.756  0.505  0.422
P  0.000  0.004  0.250
P  0.000  0.996  0.750
P  0.019  0.354  0.507
P  0.019  0.646  0.007
P  0.085  0.112  0.882
P  0.085  0.888  0.382
P  0.088  0.387  0.816
P  0.088  0.613  0.316
P  0.101  0.201  0.566
P  0.101  0.799  0.066
P  0.192  0.233  0.760
P  0.192  0.767  0.260
P  0.308  0.267  0.260
P  0.308  0.733  0.760
P  0.399  0.299  0.066
P  0.399  0.701  0.566
P  0.412  0.113  0.316
P  0.412  0.887  0.816
P  0.415  0.388  0.382
P  0.415  0.612  0.882
P  0.481  0.146  0.007
P  0.481  0.854  0.507
P  0.500  0.496  0.750
P  0.500  0.504  0.250
P  0.519  0.146  0.493
P  0.519  0.854  0.993
P  0.585  0.388  0.118
P  0.585  0.612  0.618
P  0.588  0.113  0.184
P  0.588  0.887  0.684
P  0.601  0.299  0.434
P  0.601  0.701  0.934
P  0.692  0.267  0.240
P  0.692  0.733  0.740
P  0.808  0.233  0.740
P  0.808  0.767  0.240
P  0.899  0.201  0.934
P  0.899  0.799  0.434
P  0.912  0.387  0.684
P  0.912  0.613  0.184
P  0.915  0.112  0.618
P  0.915  0.888  0.118
P  0.981  0.354  0.993
P  0.981  0.646  0.493

Results
Space-group type ... No. 60

Record 4
A plane-wave DFT calculation with r2SCAN was carried out for crystalline Pr2Te4O11 at its relaxed geometry.

abc: 6.880 6.880 16.423
angles: 104.36 104.36 45.02
Fractional positions:
Pr  0.127  0.638  0.963
Pr  0.362  0.873  0.537
Pr  0.638  0.127  0.463
Pr  0.873  0.362  0.037
Te  0.089  0.649  0.628
Te  0.106  0.655  0.298
Te  0.345  0.894  0.202
Te  0.351  0.911  0.872
Te  0.649  0.089  0.128
Te  0.655  0.106  0.798
Te  0.894  0.345  0.702
Te  0.911  0.351  0.372
O  0.070  0.879  0.399
O  0.121  0.930  0.101
O  0.169  0.246  0.942
O  0.179  0.318  0.628
O  0.246  0.169  0.442
O  0.303  0.405  0.828
O  0.304  0.550  0.547
O  0.318  0.179  0.128
O  0.349  0.651  0.250
O  0.405  0.303  0.328
O  0.450  0.696  0.953
O  0.550  0.304  0.047
O  0.595  0.697  0.672
O  0.651  0.349  0.750
O  0.682  0.821  0.872
O  0.696  0.450  0.453
O  0.697  0.595  0.172
O  0.754  0.831  0.558
O  0.821  0.682  0.372
O  0.831  0.754  0.058
O  0.879  0.070  0.899
O  0.930  0.121  0.601

Results
Space-group type ... No. 15

Record 5
A plane-wave DFT calculation with r2SCAN was carried out for crystalline V4O5F7 at its relaxed geometry.

abc: 5.076 5.286 7.299
angles: 92.36 90.34 90.06
Fractional positions:
V  0.000  0.000  0.000
V  0.013  0.024  0.486
V  0.446  0.499  0.995
V  0.515  0.513  0.497
O  0.062  0.995  0.259
O  0.185  0.276  0.550
O  0.203  0.707  0.958
O  0.242  0.208  0.961
O  0.767  0.694  0.460
F  0.266  0.782  0.563
F  0.368  0.494  0.255
F  0.587  0.472  0.753
F  0.679  0.185  0.453
F  0.701  0.767  0.049
F  0.741  0.268  0.055
F  0.874  0.986  0.748

Results
Space-group type ... No. 1
Polymorph energy (0 for the lowest one) ... 0.021 eV/atom

Record 6
A plane-wave DFT calculation with r2SCAN was carried out for crystalline SrIn8Rh2 at its relaxed geometry.

abc: 13.973 16.252 4.409
angles: 90.00 90.00 90.00
Fractional positions:
Sr  0.157  0.181  0.000
Sr  0.343  0.681  0.000
Sr  0.657  0.319  0.000
Sr  0.843  0.819  0.000
In  0.000  0.000  0.000
In  0.000  0.500  0.500
In  0.021  0.866  0.500
In  0.050  0.317  0.500
In  0.100  0.746  0.000
In  0.159  0.456  0.000
In  0.166  0.622  0.500
In  0.170  0.011  0.500
In  0.240  0.823  0.500
In  0.260  0.323  0.500
In  0.330  0.511  0.500
In  0.334  0.122  0.500
In  0.341  0.956  0.000
In  0.400  0.246  0.000
In  0.450  0.817  0.500
In  0.479  0.366  0.500
In  0.500  0.000  0.500
In  0.500  0.500  0.000
In  0.521  0.634  0.500
In  0.550  0.183  0.500
In  0.600  0.754  0.000
In  0.659  0.044  0.000
In  0.666  0.878  0.500
In  0.670  0.489  0.500
In  0.740  0.677  0.500
In  0.760  0.177  0.500
In  0.830  0.989  0.500
In  0.834  0.378  0.500
In  0.841  0.544  0.000
In  0.900  0.254  0.000
In  0.950  0.683  0.500
In  0.979  0.134  0.500
Rh  0.034  0.595  0.000
Rh  0.154  0.904  0.000
Rh  0.346  0.404  0.000
Rh  0.466  0.095  0.000
Rh  0.534  0.905  0.000
Rh  0.654  0.596  0.000
Rh  0.846  0.096  0.000
Rh  0.966  0.405  0.000

Results
Space-group type ... No. 55

Record 7
A plane-wave DFT calculation with r2SCAN was carried out for crystalline GdPO4 at its relaxed geometry.

abc: 5.799 5.799 5.799
angles: 106.10 106.10 116.46
Fractional positions:
Gd  0.375  0.625  0.750
Gd  0.625  0.375  0.250
P  0.125  0.875  0.250
P  0.875  0.125  0.750
O  0.142  0.719  0.423
O  0.204  0.281  0.923
O  0.281  0.204  0.423
O  0.281  0.858  0.077
O  0.719  0.142  0.923
O  0.719  0.796  0.577
O  0.796  0.719  0.077
O  0.858  0.281  0.577

Results
Space-group type ... No. 141

Record 8
A plane-wave DFT calculation with r2SCAN was carried out for crystalline Ca2ZnWO6 at its relaxed geometry.

abc: 5.548 5.548 5.548
angles: 60.00 60.00 60.00
Fractional positions:
Ca  0.250  0.250  0.250
Ca  0.750  0.750  0.750
Zn  0.000  0.000  0.000
W  0.500  0.500  0.500
O  0.257  0.257  0.743
O  0.257  0.743  0.257
O  0.257  0.743  0.743
O  0.743  0.257  0.257
O  0.743  0.257  0.743
O  0.743  0.743  0.257

Results
Space-group type ... No. 225

Record 9
A plane-wave DFT calculation with r2SCAN was carried out for crystalline Nd2Tm at its relaxed geometry.

abc: 9.045 9.045 9.045
angles: 23.23 23.23 23.23
Fractional positions:
Nd  0.225  0.225  0.225
Nd  0.775  0.775  0.775
Tm  0.000  0.000  0.000

Results
Space-group type ... No. 166

Record 10
A plane-wave DFT calculation with r2SCAN was carried out for crystalline La2S3 at its relaxed geometry.

abc: 7.628 4.158 15.895
angles: 90.00 90.00 90.00
Fractional positions:
La  0.146  0.250  0.205
La  0.236  0.750  0.456
La  0.264  0.250  0.956
La  0.354  0.750  0.705
La  0.646  0.250  0.295
La  0.736  0.750  0.044
La  0.764  0.250  0.544
La  0.854  0.750  0.795
S  0.012  0.250  0.391
S  0.129  0.750  0.067
S  0.146  0.250  0.780
S  0.354  0.750  0.280
S  0.371  0.250  0.567
S  0.488  0.750  0.891
S  0.512  0.250  0.109
S  0.629  0.750  0.433
S  0.646  0.250  0.720
S  0.854  0.750  0.220
S  0.871  0.250  0.933
S  0.988  0.750  0.609

Results
Space-group type ... No. 62

Record 11
A plane-wave DFT calculation with r2SCAN was carried out for crystalline RbP2Ir2 at its relaxed geometry.

abc: 7.406 7.406 7.406
angles: 149.13 149.13 44.22
Fractional positions:
Rb  0.000  0.000  0.000
P  0.343  0.343  0.000
P  0.657  0.657  0.000
Ir  0.250  0.750  0.500
Ir  0.750  0.250  0.500

Results
Space-group type ... No. 139

Record 12
A plane-wave DFT calculation with r2SCAN was carried out for crystalline NaEuO2 at its relaxed geometry.

abc: 6.168 6.168 6.168
angles: 134.94 134.94 65.62
Fractional positions:
Na  0.375  0.625  0.750
Na  0.625  0.375  0.250
Eu  0.125  0.875  0.250
Eu  0.875  0.125  0.750
O  0.097  0.347  0.750
O  0.347  0.097  0.250
O  0.653  0.903  0.750
O  0.903  0.653  0.250

Results
Space-group type ... No. 141

Record 13
A plane-wave DFT calculation with r2SCAN was carried out for crystalline YbDyCd2 at its relaxed geometry.

abc: 5.213 5.213 5.213
angles: 60.00 60.00 60.00
Fractional positions:
Yb  0.000  0.000  0.000
Dy  0.500  0.500  0.500
Cd  0.250  0.250  0.250
Cd  0.750  0.750  0.750

Results
Space-group type ... No. 225

Record 14
A plane-wave DFT calculation with r2SCAN was carried out for crystalline K2CrO4 at its relaxed geometry.

abc: 7.632 5.868 10.328
angles: 90.00 90.00 90.00
Fractional positions:
K  0.009  0.250  0.197
K  0.163  0.750  0.418
K  0.337  0.250  0.918
K  0.491  0.750  0.697
K  0.509  0.250  0.303
K  0.663  0.750  0.082
K  0.837  0.250  0.582
K  0.991  0.750  0.803
Cr  0.228  0.750  0.081
Cr  0.272  0.250  0.581
Cr  0.728  0.750  0.419
Cr  0.772  0.250  0.919
O  0.013  0.750  0.079
O  0.194  0.250  0.431
O  0.199  0.021  0.656
O  0.199  0.479  0.656
O  0.301  0.521  0.156
O  0.301  0.979  0.156
O  0.306  0.750  0.931
O  0.487  0.250  0.579
O  0.513  0.750  0.421
O  0.694  0.250  0.069
O  0.699  0.021  0.844
O  0.699  0.479  0.844
O  0.801  0.521  0.344
O  0.801  0.979  0.344
O  0.806  0.750  0.569
O  0.987  0.250  0.921

Results
Space-group type ... No. 62

Record 15
A plane-wave DFT calculation with r2SCAN was carried out for crystalline PrCuSe2 at its relaxed geometry.

abc: 6.771 7.521 7.219
angles: 90.00 96.82 90.00
Fractional positions:
Pr  0.192  0.048  0.300
Pr  0.192  0.452  0.800
Pr  0.808  0.548  0.200
Pr  0.808  0.952  0.700
Cu  0.434  0.660  0.453
Cu  0.434  0.840  0.953
Cu  0.566  0.160  0.047
Cu  0.566  0.340  0.547
Se  0.086  0.723  0.498
Se  0.086  0.777  0.998
Se  0.405  0.113  0.723
Se  0.405  0.387  0.223
Se  0.595  0.613  0.777
Se  0.595  0.887  0.277
Se  0.914  0.223  0.002
Se  0.914  0.277  0.502

Results
Space-group type ... No. 14

Record 16
A plane-wave DFT calculation with r2SCAN was carried out for crystalline Zr at its relaxed geometry.

abc: 5.865 5.865 5.865
angles: 124.84 89.42 116.02
Fractional positions:
Zr  0.177  0.578  0.756
Zr  0.250  0.250  0.000
Zr  0.323  0.078  0.401
Zr  0.677  0.922  0.599
Zr  0.750  0.750  0.000
Zr  0.823  0.422  0.244

Results
Space-group type ... No. 72
Polymorph energy (0 for the lowest one) ... 0.009 eV/atom

Number 1: formation energy from the elements -0.260 eV/atom, ρ 6.762 g/cm3, electronic total energy -14.08 eV/atom. Number 2: formation energy from the elements -1.874 eV/atom, ρ 2.635 g/cm3, electronic total energy -7.71 eV/atom. Number 3: formation energy from the elements -0.299 eV/atom, ρ 2.133 g/cm3, electronic total energy -8.14 eV/atom. Number 4: formation energy from the elements -1.992 eV/atom, ρ 6.071 g/cm3, electronic total energy -15.30 eV/atom. Number 5: formation energy from the elements -2.859 eV/atom, ρ 3.537 g/cm3, electronic total energy -9.62 eV/atom. Number 6: formation energy from the elements -0.454 eV/atom, ρ 8.041 g/cm3, electronic total energy -22.64 eV/atom. Number 7: formation energy from the elements -3.275 eV/atom, ρ 5.643 g/cm3, electronic total energy -15.99 eV/atom. Number 8: formation energy from the elements -2.585 eV/atom, ρ 5.849 g/cm3, electronic total energy -13.60 eV/atom. Number 9: formation energy from the elements 0.045 eV/atom, ρ 7.517 g/cm3, electronic total energy -31.27 eV/atom. Number 10: formation energy from the elements -2.508 eV/atom, ρ 4.927 g/cm3, electronic total energy -19.23 eV/atom. Number 11: formation energy from the elements -0.740 eV/atom, ρ 8.282 g/cm3, electronic total energy -28.07 eV/atom. Number 12: formation energy from the elements -2.530 eV/atom, ρ 5.937 g/cm3, electronic total energy -16.04 eV/atom. Number 13: formation energy from the elements -0.383 eV/atom, ρ 9.289 g/cm3, electronic total energy -27.56 eV/atom. Number 14: formation energy from the elements -2.137 eV/atom, ρ 2.788 g/cm3, electronic total energy -9.42 eV/atom. Number 15: formation energy from the elements -1.450 eV/atom, ρ 6.594 g/cm3, electronic total energy -18.67 eV/atom. Number 16: formation energy from the elements 0.009 eV/atom, ρ 6.461 g/cm3, electronic total energy -22.74 eV/atom.